Entry 1:
This record from the Materials Project describes a relaxed structure of Sc5In4Rh2. The functional is GGA-PBE.

Cell: 7.737 17.692 3.353 Å, 90.00 90.00 90.00°
Element x y z (fractional)
Sc (0.000, 0.000, 0.000)
Sc (0.124, 0.415, 0.000)
Sc (0.245, 0.721, 0.000)
Sc (0.255, 0.221, 0.000)
Sc (0.376, 0.915, 0.000)
Sc (0.500, 0.500, 0.000)
Sc (0.624, 0.085, 0.000)
Sc (0.745, 0.779, 0.000)
Sc (0.755, 0.279, 0.000)
Sc (0.876, 0.585, 0.000)
In (0.069, 0.851, 0.500)
In (0.204, 0.567, 0.500)
In (0.296, 0.067, 0.500)
In (0.431, 0.351, 0.500)
In (0.569, 0.649, 0.500)
In (0.704, 0.933, 0.500)
In (0.796, 0.433, 0.500)
In (0.931, 0.149, 0.500)
Rh (0.037, 0.306, 0.500)
Rh (0.463, 0.806, 0.500)
Rh (0.537, 0.194, 0.500)
Rh (0.963, 0.694, 0.500)

Energy of formation from the pure elements: -0.67 eV/atom
Uncorrected energy: -5.89 eV/atom


Entry 2:
This record from the Materials Project describes a relaxed structure of Sc15In20Rh8. The functional is GGA-PBE.

Cell: 7.712 7.113 33.663 Å, 90.00 96.49 90.00°
Element x y z (fractional)
Sc (0.000, 0.000, 0.000)
Sc (0.000, 0.500, 0.000)
Sc (0.050, 0.000, 0.865)
Sc (0.074, 0.500, 0.870)
Sc (0.114, 0.000, 0.111)
Sc (0.121, 0.500, 0.105)
Sc (0.176, 0.500, 0.402)
Sc (0.209, 0.000, 0.400)
Sc (0.251, 0.000, 0.265)
Sc (0.275, 0.500, 0.272)
Sc (0.314, 0.000, 0.511)
Sc (0.321, 0.500, 0.503)
Sc (0.377, 0.500, 0.801)
Sc (0.409, 0.000, 0.800)
Sc (0.451, 0.000, 0.665)
Sc (0.475, 0.500, 0.671)
Sc (0.517, 0.500, 0.907)
Sc (0.521, 0.000, 0.909)
Sc (0.576, 0.500, 0.202)
Sc (0.607, 0.000, 0.200)
Sc (0.657, 0.000, 0.067)
Sc (0.659, 0.500, 0.068)
Sc (0.713, 0.000, 0.311)
Sc (0.721, 0.500, 0.303)
Sc (0.776, 0.500, 0.602)
Sc (0.808, 0.000, 0.600)
Sc (0.852, 0.000, 0.465)
Sc (0.875, 0.500, 0.471)
Sc (0.912, 0.000, 0.711)
Sc (0.921, 0.500, 0.703)
In (0.041, 0.271, 0.542)
In (0.041, 0.729, 0.542)
In (0.042, 0.270, 0.791)
In (0.042, 0.730, 0.791)
In (0.057, 0.235, 0.325)
In (0.057, 0.765, 0.325)
In (0.092, 0.270, 0.642)
In (0.092, 0.730, 0.642)
In (0.232, 0.248, 0.939)
In (0.232, 0.752, 0.939)
In (0.242, 0.270, 0.192)
In (0.242, 0.730, 0.192)
In (0.257, 0.236, 0.725)
In (0.257, 0.764, 0.725)
In (0.288, 0.248, 0.046)
In (0.288, 0.752, 0.046)
In (0.440, 0.271, 0.342)
In (0.440, 0.729, 0.342)
In (0.442, 0.271, 0.592)
In (0.442, 0.729, 0.592)
In (0.460, 0.242, 0.127)
In (0.460, 0.758, 0.127)
In (0.492, 0.270, 0.442)
In (0.492, 0.730, 0.442)
In (0.640, 0.271, 0.742)
In (0.640, 0.729, 0.742)
In (0.657, 0.236, 0.525)
In (0.657, 0.252, 0.992)
In (0.657, 0.748, 0.992)
In (0.657, 0.764, 0.525)
In (0.690, 0.272, 0.842)
In (0.690, 0.728, 0.842)
In (0.840, 0.271, 0.141)
In (0.840, 0.729, 0.141)
In (0.842, 0.271, 0.392)
In (0.842, 0.729, 0.392)
In (0.856, 0.249, 0.924)
In (0.856, 0.751, 0.924)
In (0.891, 0.269, 0.242)
In (0.891, 0.731, 0.242)
Rh (0.123, 0.238, 0.459)
Rh (0.123, 0.762, 0.459)
Rh (0.190, 0.000, 0.592)
Rh (0.323, 0.240, 0.858)
Rh (0.323, 0.760, 0.858)
Rh (0.388, 0.500, 0.992)
Rh (0.391, 0.000, 0.992)
Rh (0.523, 0.238, 0.259)
Rh (0.523, 0.762, 0.259)
Rh (0.590, 0.000, 0.392)
Rh (0.723, 0.238, 0.659)
Rh (0.723, 0.762, 0.659)
Rh (0.789, 0.000, 0.792)
Rh (0.923, 0.246, 0.059)
Rh (0.923, 0.754, 0.059)
Rh (0.989, 0.000, 0.192)

Spin magnetization: 0.01 μB/f.u.
Energy of formation from the pure elements: -0.60 eV/atom
Uncorrected energy: -5.46 eV/atom


Entry 3:
This record from the Materials Project describes a relaxed structure of Sc50In3Rh13. The functional is GGA-PBE.

Cell: 12.592 12.592 12.592 Å, 60.00 60.00 60.00°
Element x y z (fractional)
Sc (0.007, 0.507, 0.679)
Sc (0.007, 0.679, 0.808)
Sc (0.007, 0.808, 0.507)
Sc (0.090, 0.090, 0.090)
Sc (0.090, 0.090, 0.730)
Sc (0.090, 0.730, 0.090)
Sc (0.192, 0.321, 0.493)
Sc (0.192, 0.493, 0.993)
Sc (0.192, 0.993, 0.321)
Sc (0.212, 0.212, 0.788)
Sc (0.212, 0.788, 0.212)
Sc (0.212, 0.788, 0.788)
Sc (0.261, 0.448, 0.739)
Sc (0.261, 0.552, 0.448)
Sc (0.261, 0.739, 0.552)
Sc (0.270, 0.910, 0.910)
Sc (0.321, 0.192, 0.993)
Sc (0.321, 0.493, 0.192)
Sc (0.321, 0.993, 0.493)
Sc (0.448, 0.261, 0.552)
Sc (0.448, 0.552, 0.739)
Sc (0.448, 0.739, 0.261)
Sc (0.493, 0.192, 0.321)
Sc (0.493, 0.321, 0.993)
Sc (0.493, 0.993, 0.192)
Sc (0.507, 0.007, 0.808)
Sc (0.507, 0.679, 0.007)
Sc (0.507, 0.808, 0.679)
Sc (0.552, 0.261, 0.739)
Sc (0.552, 0.448, 0.261)
Sc (0.552, 0.739, 0.448)
Sc (0.679, 0.007, 0.507)
Sc (0.679, 0.507, 0.808)
Sc (0.679, 0.808, 0.007)
Sc (0.730, 0.090, 0.090)
Sc (0.739, 0.261, 0.448)
Sc (0.739, 0.448, 0.552)
Sc (0.739, 0.552, 0.261)
Sc (0.788, 0.212, 0.212)
Sc (0.788, 0.212, 0.788)
Sc (0.788, 0.788, 0.212)
Sc (0.808, 0.007, 0.679)
Sc (0.808, 0.507, 0.007)
Sc (0.808, 0.679, 0.507)
Sc (0.910, 0.270, 0.910)
Sc (0.910, 0.910, 0.270)
Sc (0.910, 0.910, 0.910)
Sc (0.993, 0.192, 0.493)
Sc (0.993, 0.321, 0.192)
Sc (0.993, 0.493, 0.321)
In (0.250, 0.250, 0.250)
In (0.500, 0.500, 0.500)
In (0.750, 0.750, 0.750)
Rh (0.000, 0.000, 0.000)
Rh (0.063, 0.370, 0.937)
Rh (0.063, 0.630, 0.370)
Rh (0.063, 0.937, 0.630)
Rh (0.370, 0.063, 0.630)
Rh (0.370, 0.630, 0.937)
Rh (0.370, 0.937, 0.063)
Rh (0.630, 0.063, 0.937)
Rh (0.630, 0.370, 0.063)
Rh (0.630, 0.937, 0.370)
Rh (0.937, 0.063, 0.370)
Rh (0.937, 0.370, 0.630)
Rh (0.937, 0.630, 0.063)

Spin magnetization: 0.71 μB/f.u.
Energy of formation from the pure elements: -0.51 eV/atom
Uncorrected energy: -6.88 eV/atom


Entry 4:
This record from the Materials Project describes a relaxed structure of SmInRh2. The functional is GGA-PBE.

Cell: 6.738 6.738 6.738 Å, 90.00 90.00 90.00°
Element x y z (fractional)
Sm (0.000, 0.000, 0.000)
Sm (0.000, 0.500, 0.500)
Sm (0.500, 0.000, 0.500)
Sm (0.500, 0.500, 0.000)
In (0.000, 0.000, 0.500)
In (0.000, 0.500, 0.000)
In (0.500, 0.000, 0.000)
In (0.500, 0.500, 0.500)
Rh (0.250, 0.250, 0.250)
Rh (0.250, 0.250, 0.750)
Rh (0.250, 0.750, 0.250)
Rh (0.250, 0.750, 0.750)
Rh (0.750, 0.250, 0.250)
Rh (0.750, 0.250, 0.750)
Rh (0.750, 0.750, 0.250)
Rh (0.750, 0.750, 0.750)

Energy of formation from the pure elements: -0.66 eV/atom
Uncorrected energy: -6.21 eV/atom


Entry 5:
This record from the Materials Project describes a relaxed structure of SmIn5Rh. The functional is GGA-PBE.

Cell: 4.698 4.698 7.574 Å, 90.00 90.00 90.00°
Element x y z (fractional)
Sm (0.000, 0.000, 0.000)
In (0.000, 0.500, 0.303)
In (0.000, 0.500, 0.697)
In (0.500, 0.000, 0.303)
In (0.500, 0.000, 0.697)
In (0.500, 0.500, 0.000)
Rh (0.000, 0.000, 0.500)

Energy of formation from the pure elements: -0.43 eV/atom
Uncorrected energy: -4.13 eV/atom


Entry 6:
This record from the Materials Project describes a relaxed structure of SmInRh. The functional is GGA-PBE.

Cell: 7.593 7.593 4.023 Å, 90.00 90.00 120.00°
Element x y z (fractional)
Sm (0.000, 0.409, 0.000)
Sm (0.409, 0.000, 0.000)
Sm (0.591, 0.591, 0.000)
In (0.000, 0.747, 0.500)
In (0.253, 0.253, 0.500)
In (0.747, 0.000, 0.500)
Rh (0.000, 0.000, 0.000)
Rh (0.333, 0.667, 0.500)
Rh (0.667, 0.333, 0.500)

Energy of formation from the pure elements: -0.72 eV/atom
Uncorrected energy: -5.67 eV/atom


Entry 7:
This record from the Materials Project describes a relaxed structure of Sr2In3Rh2. The functional is GGA-PBE.

Cell: 11.156 4.330 8.015 Å, 90.00 115.26 90.00°
Element x y z (fractional)
Sr (0.144, 0.000, 0.276)
Sr (0.356, 0.500, 0.724)
Sr (0.644, 0.500, 0.276)
Sr (0.856, 0.000, 0.724)
In (0.000, 0.500, 0.500)
In (0.141, 0.500, 0.944)
In (0.359, 0.000, 0.056)
In (0.500, 0.000, 0.500)
In (0.641, 0.000, 0.944)
In (0.859, 0.500, 0.056)
Rh (0.128, 0.000, 0.707)
Rh (0.372, 0.500, 0.293)
Rh (0.628, 0.500, 0.707)
Rh (0.872, 0.000, 0.293)

Energy of formation from the pure elements: -0.49 eV/atom
Uncorrected energy: -4.25 eV/atom


Entry 8:
This record from the Materials Project describes a relaxed structure of SrIn2Rh. The functional is GGA-PBE.

Cell: 4.427 11.034 8.089 Å, 90.00 90.00 90.00°
Element x y z (fractional)
Sr (0.000, 0.060, 0.250)
Sr (0.000, 0.940, 0.750)
Sr (0.500, 0.440, 0.750)
Sr (0.500, 0.560, 0.250)
In (0.000, 0.345, 0.054)
In (0.000, 0.345, 0.446)
In (0.000, 0.655, 0.554)
In (0.000, 0.655, 0.946)
In (0.500, 0.155, 0.554)
In (0.500, 0.155, 0.946)
In (0.500, 0.845, 0.054)
In (0.500, 0.845, 0.446)
Rh (0.000, 0.218, 0.750)
Rh (0.000, 0.782, 0.250)
Rh (0.500, 0.282, 0.250)
Rh (0.500, 0.718, 0.750)

Energy of formation from the pure elements: -0.50 eV/atom
Uncorrected energy: -4.13 eV/atom


Entry 9:
This record from the Materials Project describes a relaxed structure of TbInRh. The functional is GGA-PBE.

Cell: 7.545 7.545 3.961 Å, 90.00 90.00 120.00°
Element x y z (fractional)
Tb (0.000, 0.593, 0.000)
Tb (0.407, 0.407, 0.000)
Tb (0.593, 0.000, 0.000)
In (0.000, 0.256, 0.500)
In (0.256, 0.000, 0.500)
In (0.744, 0.744, 0.500)
Rh (0.000, 0.000, 0.000)
Rh (0.333, 0.667, 0.500)
Rh (0.667, 0.333, 0.500)

Energy of formation from the pure elements: -0.75 eV/atom
Uncorrected energy: -5.66 eV/atom


Entry 10:
This record from the Materials Project describes a relaxed structure of Tb20In40Rh19. The functional is GGA-PBE.

Cell: 13.612 13.612 9.435 Å, 90.00 90.00 90.00°
Element x y z (fractional)
Tb (0.000, 0.222, 0.266)
Tb (0.000, 0.500, 0.351)
Tb (0.000, 0.500, 0.857)
Tb (0.000, 0.778, 0.266)
Tb (0.204, 0.299, 0.765)
Tb (0.204, 0.701, 0.765)
Tb (0.222, 0.000, 0.734)
Tb (0.275, 0.500, 0.270)
Tb (0.299, 0.204, 0.235)
Tb (0.299, 0.796, 0.235)
Tb (0.500, 0.000, 0.143)
Tb (0.500, 0.000, 0.649)
Tb (0.500, 0.275, 0.730)
Tb (0.500, 0.725, 0.730)
Tb (0.701, 0.204, 0.235)
Tb (0.701, 0.796, 0.235)
Tb (0.725, 0.500, 0.270)
Tb (0.778, 0.000, 0.734)
Tb (0.796, 0.299, 0.765)
Tb (0.796, 0.701, 0.765)
In (0.000, 0.115, 0.739)
In (0.000, 0.330, 0.599)
In (0.000, 0.670, 0.599)
In (0.000, 0.885, 0.739)
In (0.115, 0.000, 0.261)
In (0.129, 0.371, 0.095)
In (0.129, 0.629, 0.095)
In (0.140, 0.140, 0.000)
In (0.140, 0.860, 0.000)
In (0.151, 0.151, 0.500)
In (0.151, 0.849, 0.500)
In (0.169, 0.500, 0.599)
In (0.330, 0.000, 0.401)
In (0.349, 0.349, 0.500)
In (0.349, 0.651, 0.500)
In (0.369, 0.369, 0.000)
In (0.369, 0.631, 0.000)
In (0.371, 0.129, 0.905)
In (0.371, 0.871, 0.905)
In (0.386, 0.500, 0.737)
In (0.500, 0.169, 0.401)
In (0.500, 0.386, 0.263)
In (0.500, 0.614, 0.263)
In (0.500, 0.831, 0.401)
In (0.614, 0.500, 0.737)
In (0.629, 0.129, 0.905)
In (0.629, 0.871, 0.905)
In (0.631, 0.369, 0.000)
In (0.631, 0.631, 0.000)
In (0.651, 0.349, 0.500)
In (0.651, 0.651, 0.500)
In (0.670, 0.000, 0.401)
In (0.831, 0.500, 0.599)
In (0.849, 0.151, 0.500)
In (0.849, 0.849, 0.500)
In (0.860, 0.140, 0.000)
In (0.860, 0.860, 0.000)
In (0.871, 0.371, 0.095)
In (0.871, 0.629, 0.095)
In (0.885, 0.000, 0.261)
Rh (0.000, 0.000, 0.000)
Rh (0.000, 0.000, 0.500)
Rh (0.000, 0.278, 0.907)
Rh (0.000, 0.722, 0.907)
Rh (0.154, 0.345, 0.396)
Rh (0.154, 0.655, 0.396)
Rh (0.224, 0.500, 0.908)
Rh (0.278, 0.000, 0.093)
Rh (0.345, 0.154, 0.604)
Rh (0.345, 0.846, 0.604)
Rh (0.500, 0.224, 0.092)
Rh (0.500, 0.500, 0.500)
Rh (0.500, 0.776, 0.092)
Rh (0.655, 0.154, 0.604)
Rh (0.655, 0.846, 0.604)
Rh (0.722, 0.000, 0.093)
Rh (0.776, 0.500, 0.908)
Rh (0.846, 0.345, 0.396)
Rh (0.846, 0.655, 0.396)

Spin magnetization: 0.94 μB/f.u.
Energy of formation from the pure elements: -0.60 eV/atom
Uncorrected energy: -4.94 eV/atom


Entry 11:
This record from the Materials Project describes a relaxed structure of TbInRh2. The functional is GGA-PBE.

Cell: 6.674 6.674 6.674 Å, 90.00 90.00 90.00°
Element x y z (fractional)
Tb (0.000, 0.000, 0.000)
Tb (0.000, 0.500, 0.500)
Tb (0.500, 0.000, 0.500)
Tb (0.500, 0.500, 0.000)
In (0.000, 0.000, 0.500)
In (0.000, 0.500, 0.000)
In (0.500, 0.000, 0.000)
In (0.500, 0.500, 0.500)
Rh (0.250, 0.250, 0.250)
Rh (0.250, 0.250, 0.750)
Rh (0.250, 0.750, 0.250)
Rh (0.250, 0.750, 0.750)
Rh (0.750, 0.250, 0.250)
Rh (0.750, 0.250, 0.750)
Rh (0.750, 0.750, 0.250)
Rh (0.750, 0.750, 0.750)

Energy of formation from the pure elements: -0.73 eV/atom
Uncorrected energy: -6.26 eV/atom


Entry 12:
This record from the Materials Project describes a relaxed structure of TiInRh2. The functional is GGA-PBE.

Cell: 6.348 6.348 6.348 Å, 90.00 90.00 90.00°
Element x y z (fractional)
Ti (0.000, 0.000, 0.000)
Ti (0.000, 0.500, 0.500)
Ti (0.500, 0.000, 0.500)
Ti (0.500, 0.500, 0.000)
In (0.000, 0.000, 0.500)
In (0.000, 0.500, 0.000)
In (0.500, 0.000, 0.000)
In (0.500, 0.500, 0.500)
Rh (0.250, 0.250, 0.250)
Rh (0.250, 0.250, 0.750)
Rh (0.250, 0.750, 0.250)
Rh (0.250, 0.750, 0.750)
Rh (0.750, 0.250, 0.250)
Rh (0.750, 0.250, 0.750)
Rh (0.750, 0.750, 0.250)
Rh (0.750, 0.750, 0.750)

Energy of formation from the pure elements: -0.64 eV/atom
Uncorrected energy: -6.99 eV/atom


Entry 13:
This record from the Materials Project describes a relaxed structure of TmInRh. The functional is GGA-PBE.

Cell: 7.492 7.492 3.891 Å, 90.00 90.00 120.00°
Element x y z (fractional)
Tm (0.000, 0.404, 0.000)
Tm (0.404, 0.000, 0.000)
Tm (0.596, 0.596, 0.000)
In (0.000, 0.740, 0.500)
In (0.260, 0.260, 0.500)
In (0.740, 0.000, 0.500)
Rh (0.000, 0.000, 0.000)
Rh (0.333, 0.667, 0.500)
Rh (0.667, 0.333, 0.500)

Energy of formation from the pure elements: -0.75 eV/atom
Uncorrected energy: -5.62 eV/atom


Entry 14:
This record from the Materials Project describes a relaxed structure of TmInRh2. The functional is GGA-PBE.

Cell: 6.606 6.606 6.606 Å, 90.00 90.00 90.00°
Element x y z (fractional)
Tm (0.000, 0.000, 0.000)
Tm (0.000, 0.500, 0.500)
Tm (0.500, 0.000, 0.500)
Tm (0.500, 0.500, 0.000)
In (0.000, 0.000, 0.500)
In (0.000, 0.500, 0.000)
In (0.500, 0.000, 0.000)
In (0.500, 0.500, 0.500)
Rh (0.250, 0.250, 0.250)
Rh (0.250, 0.250, 0.750)
Rh (0.250, 0.750, 0.250)
Rh (0.250, 0.750, 0.750)
Rh (0.750, 0.250, 0.250)
Rh (0.750, 0.250, 0.750)
Rh (0.750, 0.750, 0.250)
Rh (0.750, 0.750, 0.750)

Energy of formation from the pure elements: -0.80 eV/atom
Uncorrected energy: -6.29 eV/atom